No. 1
Below is a relaxed structure of Ba12Na15Li8N6, with properties calculated at the PBE level.

Values from the calculation:
Space group: R-3m, No. 166

Unit cell a=13.1133 b=13.1133 c=13.1133 alpha=56.35 beta=56.35 gamma=56.35
Atoms (fractional coordinates):
1 N 0.8544 0.1447 0.8544
2 Ba 0.2735 0.2735 0.6386
3 Na 0.6024 0.6024 0.9152
4 N 0.1456 0.8553 0.1456
5 Li 0.7971 0.2029 0.0000
6 Na 0.3536 0.8552 0.3536
7 Ba 0.0198 0.6778 0.0198
8 Ba 0.2735 0.6386 0.2735
9 Ba 0.9802 0.9802 0.3222
10 Ba 0.7265 0.3614 0.7265
11 Li 0.9615 0.9615 0.9615
12 Ba 0.3222 0.9802 0.9802
13 Na 0.3536 0.3536 0.8552
14 Na 0.5000 0.5000 0.5000
15 Li 0.0000 0.2029 0.7971
16 Ba 0.6386 0.2735 0.2735
17 Na 0.0848 0.3976 0.3976
18 N 0.8544 0.8544 0.1447
19 Li 0.2029 0.7971 0.0000
20 Na 0.6464 0.6464 0.1448
21 Na 0.2020 0.2020 0.2020
22 Na 0.7980 0.7980 0.7980
23 Na 0.3976 0.0848 0.3976
24 Li 0.2029 0.0000 0.7971
25 Li 0.7971 0.0000 0.2029
26 Na 0.9152 0.6024 0.6024
27 Na 0.6024 0.9152 0.6024
28 Ba 0.0198 0.0198 0.6778
29 Na 0.8552 0.3536 0.3536
30 Li 0.0385 0.0385 0.0385
31 Na 0.6464 0.1448 0.6464
32 Na 0.1448 0.6464 0.6464
33 Ba 0.6778 0.0198 0.0198
34 Li 0.0000 0.7971 0.2029
35 N 0.1456 0.1456 0.8553
36 Ba 0.9802 0.3222 0.9802
37 N 0.1447 0.8544 0.8544
38 Ba 0.3614 0.7265 0.7265
39 Ba 0.7265 0.7265 0.3614
40 Na 0.3976 0.3976 0.0848
41 N 0.8553 0.1456 0.1456

***

No. 2
Below is a relaxed structure of Ba2Li3TaN4, with properties calculated at the PBE level.

Values from the calculation:
Space group: C2/c, No. 15

Unit cell a=6.3617 b=6.3617 c=11.1346 alpha=64.45 beta=64.45 gamma=53.42
Atoms (fractional coordinates):
1 N 0.9300 0.7934 0.3873
2 Ba 0.0653 0.6287 0.1117
3 Li 0.8826 0.4697 0.4576
4 N 0.2637 0.5826 0.6624
5 N 0.2066 0.0700 0.1127
6 Li 0.5303 0.1174 0.0424
7 Ba 0.3713 0.9347 0.3883
8 Ta 0.8625 0.1375 0.2500
9 Ta 0.1375 0.8625 0.7500
10 N 0.7934 0.9300 0.8873
11 Ba 0.9347 0.3713 0.8883
12 N 0.7363 0.4174 0.3376
13 Li 0.3844 0.6156 0.2500
14 Ba 0.6287 0.0653 0.6117
15 N 0.5826 0.2637 0.1624
16 N 0.4174 0.7363 0.8376
17 Li 0.4697 0.8826 0.9576
18 N 0.0700 0.2066 0.6127
19 Li 0.1174 0.5303 0.5424
20 Li 0.6156 0.3844 0.7500

***

no.,calculated volume (A^3/atom),calculated formation energy (eV per atom),energy (eV per atom)
1,35.61,-0.27,-2.860
2,15.85,-0.99,-6.321